Entry 1:
Below is a relaxed structure of ZrTi3As2, with properties calculated at the PBE level.

Computed properties:
Energy relative to the elements, eV/atom: -0.89
Space group: I4mm

Structure (POSCAR):
```
ZrTi3As2
1.0
-1.8703 1.8703 7.3102
1.8703 -1.8703 7.3102
1.8703 1.8703 -7.3102
Zr Ti As
1 3 2
direct
0.0000 0.0000 0.0000
0.3169 0.8169 0.5000
0.6420 0.6420 0.0000
0.8169 0.3169 0.5000
0.1864 0.1864 0.0000
0.4512 0.4512 0.0000
```

=====

Entry 2:
Below is a relaxed structure of FeP2W, with properties calculated at the PBE level.

Computed properties:
Energy relative to the elements, eV/atom: -0.39
Space group: Pmc2_1

Structure (POSCAR):
```
FeP2W
1.0
3.2595 0.0000 0.0000
0.0000 5.9914 0.0000
0.0000 0.0000 5.4106
Fe P W
2 4 2
direct
0.0000 0.0568 0.0000
0.0000 0.9432 0.5000
0.0000 0.2921 0.3233
0.0000 0.7079 0.8233
0.5000 0.1524 0.6901
0.5000 0.8476 0.1901
0.5000 0.4511 0.0016
0.5000 0.5489 0.5016
```

=====

Entry 3:
Below is a relaxed structure of PdC4Br4N2, with properties calculated at the PBE level.

Computed properties:
Energy relative to the elements, eV/atom: 0.99
Space group: Cmce

Structure (POSCAR):
```
PdC4Br4N2
1.0
7.7132 -3.4493 0.0000
7.7132 3.4493 0.0000
0.0000 0.0000 11.3283
Pd C Br N
2 8 8 4
direct
0.0000 0.0000 0.0000
0.5000 0.5000 0.5000
0.0856 0.1538 0.3915
0.1538 0.0856 0.6085
0.3462 0.4144 0.1085
0.4144 0.3462 0.8915
0.5856 0.6538 0.1085
0.6538 0.5856 0.8915
0.8462 0.9144 0.3915
0.9144 0.8462 0.6085
0.1592 0.1592 0.0000
0.2481 0.7519 0.1527
0.2519 0.7481 0.6527
0.3408 0.3408 0.5000
0.6592 0.6592 0.5000
0.7481 0.2519 0.3473
0.7519 0.2481 0.8473
0.8408 0.8408 0.0000
0.1103 0.1103 0.5000
0.3897 0.3897 0.0000
0.6103 0.6103 0.0000
0.8897 0.8897 0.5000
```